Entry from the Materials Project: an optimized crystal structure of Mg5Si9 (PBE-GGA).

Structure (CIF):
```
data_Mg5Si9
_chemical_formula_sum 'Mg10 Si18'
_space_group_name_H-M_alt 'P 1'
_space_group_IT_number 1
_cell_length_a 6.890
_cell_length_b 7.220
_cell_length_c 12.642
_cell_angle_alpha 84.68
_cell_angle_beta 77.66
_cell_angle_gamma 63.79
loop_
_space_group_symop_operation_xyz
'x,y,z'
loop_
_atom_site_label
_atom_site_fract_x
_atom_site_fract_y
_atom_site_fract_z
_atom_site_occupancy
Mg1 0.000 0.000 0.000 1
Mg2 0.022 0.873 0.580 1
Mg3 0.138 0.114 0.748 1
Mg4 0.299 0.402 0.903 1
Mg5 0.328 0.627 0.095 1
Mg6 0.494 0.824 0.300 1
Mg7 0.546 0.965 0.035 1
Mg8 0.589 0.655 0.528 1
Mg9 0.776 0.471 0.935 1
Mg10 0.836 0.294 0.341 1
Si1 0.034 0.800 0.327 1
Si2 0.035 0.558 0.747 1
Si3 0.155 0.998 0.186 1
Si4 0.180 0.405 0.573 1
Si5 0.259 0.267 0.199 1
Si6 0.317 0.573 0.423 1
Si7 0.326 0.666 0.726 1
Si8 0.407 0.783 0.876 1
Si9 0.468 0.248 0.330 1
Si10 0.519 0.118 0.618 1
Si11 0.631 0.253 0.140 1
Si12 0.641 0.333 0.687 1
Si13 0.669 0.972 0.439 1
Si14 0.683 0.868 0.762 1
Si15 0.723 0.135 0.848 1
Si16 0.935 0.591 0.231 1
Si17 0.943 0.274 0.539 1
Si18 0.947 0.647 0.043 1
```

Output
E_form in eV/atom: 0.1511
Calculated volume in Å³/f.u.: 275.61
Energy above the lowest structure with this stoichiometry in eV per atom: 0.000



Entry from the Materials Project: an optimized crystal structure of SmB2H8 (PBE-GGA).

Structure (CIF):
```
data_SmB2H8
_chemical_formula_sum 'Sm4 B8 H32'
_space_group_name_H-M_alt 'P 1'
_space_group_IT_number 1
_cell_length_a 7.230
_cell_length_b 7.669
_cell_length_c 6.888
_cell_angle_alpha 90.00
_cell_angle_beta 90.00
_cell_angle_gamma 90.00
loop_
_space_group_symop_operation_xyz
'x,y,z'
loop_
_atom_site_label
_atom_site_fract_x
_atom_site_fract_y
_atom_site_fract_z
_atom_site_occupancy
Sm1 0.000 0.114 0.250 1
Sm2 0.000 0.886 0.750 1
Sm3 0.500 0.386 0.750 1
Sm4 0.500 0.614 0.250 1
B1 0.246 0.132 0.595 1
B2 0.246 0.868 0.095 1
B3 0.254 0.368 0.095 1
B4 0.254 0.632 0.595 1
B5 0.746 0.368 0.405 1
B6 0.746 0.632 0.905 1
B7 0.754 0.132 0.905 1
B8 0.754 0.868 0.405 1
H1 0.113 0.218 0.650 1
H2 0.113 0.782 0.150 1
H3 0.159 0.287 0.978 1
H4 0.159 0.713 0.478 1
H5 0.162 0.424 0.229 1
H6 0.162 0.576 0.729 1
H7 0.189 0.002 0.502 1
H8 0.189 0.998 0.002 1
H9 0.311 0.498 0.002 1
H10 0.311 0.502 0.502 1
H11 0.338 0.076 0.729 1
H12 0.338 0.924 0.229 1
H13 0.341 0.213 0.478 1
H14 0.341 0.787 0.978 1
H15 0.387 0.282 0.150 1
H16 0.387 0.718 0.650 1
H17 0.613 0.282 0.350 1
H18 0.613 0.718 0.850 1
H19 0.659 0.213 0.022 1
H20 0.659 0.787 0.522 1
H21 0.662 0.076 0.771 1
H22 0.662 0.924 0.271 1
H23 0.689 0.498 0.498 1
H24 0.689 0.502 0.998 1
H25 0.811 0.002 0.998 1
H26 0.811 0.998 0.498 1
H27 0.838 0.424 0.271 1
H28 0.838 0.576 0.771 1
H29 0.841 0.287 0.522 1
H30 0.841 0.713 0.022 1
H31 0.887 0.218 0.850 1
H32 0.887 0.782 0.350 1
```

Output
E_form in eV/atom: -0.3137
Calculated volume in Å³/f.u.: 95.48



Entry from the Materials Project: an optimized crystal structure of Ba5Sn3 (PBE-GGA).

Structure (CIF):
```
data_Ba5Sn3
_chemical_formula_sum 'Ba10 Sn6'
_space_group_name_H-M_alt 'P 1'
_space_group_IT_number 1
_cell_length_a 10.808
_cell_length_b 10.808
_cell_length_c 10.808
_cell_angle_alpha 130.51
_cell_angle_beta 130.51
_cell_angle_gamma 72.60
loop_
_space_group_symop_operation_xyz
'x,y,z'
loop_
_atom_site_label
_atom_site_fract_x
_atom_site_fract_y
_atom_site_fract_z
_atom_site_occupancy
Ba1 0.000 0.000 0.000 1
Ba2 0.036 0.536 0.858 1
Ba3 0.178 0.036 0.500 1
Ba4 0.322 0.822 0.858 1
Ba5 0.464 0.322 0.500 1
Ba6 0.500 0.500 0.000 1
Ba7 0.536 0.678 0.500 1
Ba8 0.678 0.178 0.142 1
Ba9 0.822 0.964 0.500 1
Ba10 0.964 0.464 0.142 1
Sn1 0.115 0.385 0.500 1
Sn2 0.250 0.250 0.000 1
Sn3 0.385 0.885 0.269 1
Sn4 0.615 0.115 0.731 1
Sn5 0.750 0.750 0.000 1
Sn6 0.885 0.615 0.500 1
```

Output
E_form in eV/atom: -0.6203
Calculated volume in Å³/f.u.: 356.54



Entry from the Materials Project: an optimized crystal structure of Na12Ca4Nb2Si6S3O36 (PBE-GGA).

Structure (CIF):
```
data_Na12Ca4Nb2Si6S3O36
_chemical_formula_sum 'Na24 Ca8 Nb4 Si12 S6 O72'
_space_group_name_H-M_alt 'P 1'
_space_group_IT_number 1
_cell_length_a 9.466
_cell_length_b 9.466
_cell_length_c 22.844
_cell_angle_alpha 90.32
_cell_angle_beta 90.32
_cell_angle_gamma 59.99
loop_
_space_group_symop_operation_xyz
'x,y,z'
loop_
_atom_site_label
_atom_site_fract_x
_atom_site_fract_y
_atom_site_fract_z
_atom_site_occupancy
Na1 0.100 0.488 0.994 1
Na2 0.124 0.186 0.081 1
Na3 0.128 0.799 0.821 1
Na4 0.133 0.537 0.320 1
Na5 0.136 0.864 0.500 1
Na6 0.163 0.818 0.167 1
Na7 0.186 0.124 0.581 1
Na8 0.197 0.474 0.670 1
Na9 0.463 0.824 0.651 1
Na10 0.471 0.491 0.737 1
Na11 0.474 0.197 0.170 1
Na12 0.488 0.100 0.494 1
Na13 0.491 0.471 0.237 1
Na14 0.502 0.853 0.987 1
Na15 0.528 0.825 0.330 1
Na16 0.537 0.133 0.820 1
Na17 0.799 0.128 0.321 1
Na18 0.812 0.825 0.403 1
Na19 0.818 0.163 0.667 1
Na20 0.824 0.463 0.151 1
Na21 0.825 0.528 0.830 1
Na22 0.825 0.812 0.903 1
Na23 0.853 0.502 0.487 1
Na24 0.864 0.136 0.000 1
Ca1 0.155 0.160 0.928 1
Ca2 0.160 0.155 0.428 1
Ca3 0.486 0.496 0.597 1
Ca4 0.496 0.486 0.097 1
Ca5 0.812 0.840 0.567 1
Ca6 0.823 0.828 0.759 1
Ca7 0.828 0.823 0.259 1
Ca8 0.840 0.812 0.067 1
Nb1 0.146 0.168 0.236 1
Nb2 0.168 0.146 0.736 1
Nb3 0.490 0.504 0.386 1
Nb4 0.504 0.490 0.886 1
Si1 0.131 0.832 0.665 1
Si2 0.133 0.505 0.166 1
Si3 0.159 0.860 0.333 1
Si4 0.164 0.453 0.835 1
Si5 0.453 0.164 0.335 1
Si6 0.459 0.853 0.836 1
Si7 0.494 0.788 0.497 1
Si8 0.505 0.133 0.666 1
Si9 0.788 0.494 0.997 1
Si10 0.832 0.131 0.165 1
Si11 0.853 0.459 0.336 1
Si12 0.860 0.159 0.833 1
S1 0.197 0.494 0.494 1
S2 0.202 0.779 0.994 1
S3 0.494 0.197 0.994 1
S4 0.507 0.838 0.164 1
S5 0.779 0.202 0.494 1
S6 0.838 0.507 0.664 1
O1 0.008 0.138 0.177 1
O2 0.013 0.633 0.824 1
O3 0.014 0.821 0.324 1
O4 0.020 0.874 0.605 1
O5 0.021 0.570 0.106 1
O6 0.036 0.649 0.494 1
O7 0.037 0.793 0.992 1
O8 0.048 0.616 0.222 1
O9 0.049 0.797 0.721 1
O10 0.134 0.384 0.894 1
O11 0.135 0.956 0.393 1
O12 0.138 0.008 0.677 1
O13 0.153 0.316 0.176 1
O14 0.171 0.352 0.491 1
O15 0.187 0.942 0.992 1
O16 0.189 0.322 0.779 1
O17 0.190 0.960 0.277 1
O18 0.288 0.701 0.048 1
O19 0.289 0.476 0.548 1
O20 0.292 0.500 0.441 1
O21 0.295 0.676 0.942 1
O22 0.316 0.153 0.676 1
O23 0.317 0.479 0.162 1
O24 0.321 0.684 0.663 1
O25 0.322 0.189 0.279 1
O26 0.327 0.961 0.780 1
O27 0.330 0.968 0.496 1
O28 0.339 0.675 0.334 1
O29 0.342 0.456 0.838 1
O30 0.345 0.991 0.170 1
O31 0.352 0.171 0.991 1
O32 0.384 0.134 0.394 1
O33 0.389 0.952 0.895 1
O34 0.452 0.676 0.837 1
O35 0.456 0.342 0.338 1
O36 0.476 0.289 0.048 1
O37 0.478 0.698 0.159 1
O38 0.479 0.317 0.662 1
O39 0.485 0.698 0.555 1
O40 0.496 0.658 0.439 1
O41 0.500 0.292 0.941 1
O42 0.570 0.021 0.606 1
O43 0.587 0.858 0.111 1
O44 0.609 0.812 0.216 1
O45 0.616 0.048 0.722 1
O46 0.633 0.013 0.324 1
O47 0.643 0.808 0.823 1
O48 0.649 0.036 0.994 1
O49 0.658 0.496 0.939 1
O50 0.665 0.789 0.487 1
O51 0.675 0.339 0.834 1
O52 0.676 0.295 0.442 1
O53 0.676 0.452 0.337 1
O54 0.684 0.321 0.163 1
O55 0.698 0.478 0.659 1
O56 0.698 0.485 0.055 1
O57 0.701 0.288 0.548 1
O58 0.789 0.665 0.987 1
O59 0.793 0.037 0.492 1
O60 0.797 0.049 0.221 1
O61 0.808 0.643 0.323 1
O62 0.812 0.609 0.716 1
O63 0.821 0.014 0.824 1
O64 0.858 0.587 0.611 1
O65 0.874 0.020 0.105 1
O66 0.942 0.187 0.492 1
O67 0.952 0.389 0.395 1
O68 0.956 0.135 0.893 1
O69 0.960 0.190 0.777 1
O70 0.961 0.327 0.280 1
O71 0.968 0.330 0.996 1
O72 0.991 0.345 0.670 1
```

Output
E_form in eV/atom: -2.6870
Calculated volume in Å³/f.u.: 886.11



Entry from the Materials Project: an optimized crystal structure of Ca7InN4 (PBE-GGA).

Structure (CIF):
```
data_Ca7InN4
_chemical_formula_sum 'Ca14 In2 N8'
_space_group_name_H-M_alt 'P 1'
_space_group_IT_number 1
_cell_length_a 11.761
_cell_length_b 12.179
_cell_length_c 3.586
_cell_angle_alpha 90.00
_cell_angle_beta 90.00
_cell_angle_gamma 90.00
loop_
_space_group_symop_operation_xyz
'x,y,z'
loop_
_atom_site_label
_atom_site_fract_x
_atom_site_fract_y
_atom_site_fract_z
_atom_site_occupancy
Ca1 0.000 0.000 0.000 1
Ca2 0.020 0.231 0.497 1
Ca3 0.230 0.071 0.502 1
Ca4 0.236 0.828 0.000 1
Ca5 0.264 0.328 0.000 1
Ca6 0.270 0.571 0.498 1
Ca7 0.480 0.731 0.503 1
Ca8 0.500 0.500 0.000 1
Ca9 0.520 0.269 0.503 1
Ca10 0.730 0.429 0.498 1
Ca11 0.736 0.672 0.000 1
Ca12 0.764 0.172 0.000 1
Ca13 0.770 0.929 0.502 1
Ca14 0.980 0.769 0.497 1
In1 0.000 0.500 0.898 1
In2 0.500 0.000 0.102 1
N1 0.130 0.899 0.500 1
N2 0.140 0.169 0.000 1
N3 0.360 0.669 0.000 1
N4 0.370 0.399 0.500 1
N5 0.630 0.601 0.500 1
N6 0.640 0.331 0.000 1
N7 0.860 0.831 0.000 1
N8 0.870 0.101 0.500 1
```

Output
E_form in eV/atom: -0.8724
Calculated volume in Å³/f.u.: 256.84



Entry from the Materials Project: an optimized crystal structure of Rb3HSe2O8 (PBE-GGA).

Structure (CIF):
```
data_Rb3HSe2O8
_chemical_formula_sum 'Rb6 H2 Se4 O16'
_space_group_name_H-M_alt 'P 1'
_space_group_IT_number 1
_cell_length_a 8.520
_cell_length_b 8.520
_cell_length_c 10.735
_cell_angle_alpha 101.66
_cell_angle_beta 101.66
_cell_angle_gamma 42.82
loop_
_space_group_symop_operation_xyz
'x,y,z'
loop_
_atom_site_label
_atom_site_fract_x
_atom_site_fract_y
_atom_site_fract_z
_atom_site_occupancy
Rb1 0.059 0.549 0.098 1
Rb2 0.233 0.767 0.500 1
Rb3 0.379 0.845 0.196 1
Rb4 0.549 0.059 0.598 1
Rb5 0.767 0.233 0.000 1
Rb6 0.845 0.379 0.696 1
H1 0.282 0.330 0.840 1
H2 0.330 0.282 0.340 1
Se1 0.199 0.648 0.812 1
Se2 0.415 0.965 0.885 1
Se3 0.648 0.199 0.312 1
Se4 0.965 0.415 0.385 1
O1 0.128 0.469 0.403 1
O2 0.131 0.165 0.448 1
O3 0.136 0.487 0.790 1
O4 0.165 0.131 0.948 1
O5 0.218 0.701 0.969 1
O6 0.393 0.907 0.728 1
O7 0.448 0.476 0.748 1
O8 0.469 0.128 0.903 1
O9 0.476 0.448 0.248 1
O10 0.487 0.136 0.290 1
O11 0.632 0.723 0.959 1
O12 0.701 0.218 0.469 1
O13 0.723 0.632 0.459 1
O14 0.884 0.979 0.237 1
O15 0.907 0.393 0.228 1
O16 0.979 0.884 0.737 1
```

Output
E_form in eV/atom: -1.6596
Calculated volume in Å³/f.u.: 258.51
Energy above the lowest structure with this stoichiometry in eV per atom: 0.000



Entry from the Materials Project: an optimized crystal structure of Ga40Mo8S (PBE-GGA).

Structure (CIF):
```
data_Ga40Mo8S
_chemical_formula_sum 'Ga40 Mo8 S1'
_space_group_name_H-M_alt 'P 1'
_space_group_IT_number 1
_cell_length_a 9.638
_cell_length_b 9.638
_cell_length_c 18.490
_cell_angle_alpha 90.19
_cell_angle_beta 90.19
_cell_angle_gamma 32.19
loop_
_space_group_symop_operation_xyz
'x,y,z'
loop_
_atom_site_label
_atom_site_fract_x
_atom_site_fract_y
_atom_site_fract_z
_atom_site_occupancy
Ga1 0.000 0.500 0.000 1
Ga2 0.000 0.500 0.500 1
Ga3 0.032 0.032 0.395 1
Ga4 0.035 0.536 0.849 1
Ga5 0.036 0.534 0.351 1
Ga6 0.076 0.076 0.133 1
Ga7 0.097 0.603 0.216 1
Ga8 0.100 0.602 0.713 1
Ga9 0.105 0.105 0.532 1
Ga10 0.132 0.132 0.923 1
Ga11 0.246 0.751 0.748 1
Ga12 0.249 0.754 0.252 1
Ga13 0.369 0.369 0.574 1
Ga14 0.379 0.379 0.962 1
Ga15 0.397 0.903 0.784 1
Ga16 0.398 0.900 0.287 1
Ga17 0.425 0.425 0.371 1
Ga18 0.462 0.462 0.122 1
Ga19 0.464 0.965 0.151 1
Ga20 0.466 0.964 0.649 1
Ga21 0.500 0.000 0.000 1
Ga22 0.500 0.000 0.500 1
Ga23 0.534 0.036 0.351 1
Ga24 0.536 0.035 0.849 1
Ga25 0.538 0.538 0.878 1
Ga26 0.575 0.575 0.629 1
Ga27 0.602 0.100 0.713 1
Ga28 0.603 0.097 0.216 1
Ga29 0.621 0.621 0.038 1
Ga30 0.631 0.631 0.426 1
Ga31 0.751 0.246 0.748 1
Ga32 0.754 0.249 0.252 1
Ga33 0.868 0.868 0.077 1
Ga34 0.895 0.895 0.468 1
Ga35 0.900 0.398 0.287 1
Ga36 0.903 0.397 0.784 1
Ga37 0.924 0.924 0.867 1
Ga38 0.964 0.466 0.649 1
Ga39 0.965 0.464 0.151 1
Ga40 0.968 0.968 0.605 1
Mo1 0.093 0.093 0.673 1
Mo2 0.174 0.174 0.407 1
Mo3 0.322 0.322 0.096 1
Mo4 0.405 0.405 0.822 1
Mo5 0.595 0.595 0.178 1
Mo6 0.678 0.678 0.904 1
Mo7 0.826 0.826 0.593 1
Mo8 0.907 0.907 0.327 1
S1 0.500 0.500 0.000 1
```

Output
E_form in eV/atom: -0.0875
Calculated volume in Å³/f.u.: 915.00



Entry from the Materials Project: an optimized crystal structure of Eu2CuRh (PBE-GGA).

Structure (CIF):
```
data_Eu2CuRh
_chemical_formula_sum 'Eu8 Cu4 Rh4'
_space_group_name_H-M_alt 'P 1'
_space_group_IT_number 1
_cell_length_a 7.144
_cell_length_b 7.144
_cell_length_c 7.144
_cell_angle_alpha 90.00
_cell_angle_beta 90.00
_cell_angle_gamma 90.00
loop_
_space_group_symop_operation_xyz
'x,y,z'
loop_
_atom_site_label
_atom_site_fract_x
_atom_site_fract_y
_atom_site_fract_z
_atom_site_occupancy
Eu1 0.250 0.250 0.250 1
Eu2 0.250 0.250 0.750 1
Eu3 0.250 0.750 0.250 1
Eu4 0.250 0.750 0.750 1
Eu5 0.750 0.250 0.250 1
Eu6 0.750 0.250 0.750 1
Eu7 0.750 0.750 0.250 1
Eu8 0.750 0.750 0.750 1
Cu1 0.000 0.000 0.000 1
Cu2 0.000 0.500 0.500 1
Cu3 0.500 0.000 0.500 1
Cu4 0.500 0.500 0.000 1
Rh1 0.000 0.000 0.500 1
Rh2 0.000 0.500 0.000 1
Rh3 0.500 0.000 0.000 1
Rh4 0.500 0.500 0.500 1
```

Output
E_form in eV/atom: -0.2454
Calculated volume in Å³/f.u.: 91.16



Calculated total energy for the records above, in order: -3.954; -4.294; -3.323; -6.535; -4.930; -5.046; -4.404; -8.240 eV per atom